Material: DyLu3
Method: DFT, PBE
State: relaxed Values from VASP.

```
&SYSTEM
  ibrav = 0, nat = 8, ntyp = 2
/
ATOMIC_SPECIES
Dy 162.50 Dy.upf
Lu 174.97 Lu.upf
CELL_PARAMETERS angstrom
3.5381 -6.1283 0.0000
3.5381 6.1283 0.0000
0.0000 0.0000 5.5319
ATOMIC_POSITIONS crystal
Dy 0.3333 0.6667 0.7500
Dy 0.6667 0.3333 0.2500
Lu 0.1660 0.3319 0.2500
Lu 0.6681 0.8340 0.2500
Lu 0.1660 0.8340 0.2500
Lu 0.8340 0.6681 0.7500
Lu 0.3319 0.1660 0.7500
Lu 0.8340 0.1660 0.7500
```

Results
The value obtained for the raw total energy is -4.540 eV per atom. For the formation energy, the calculation gives 0.003 eV per atom. For the density, the calculation gives 9.52 g/cm³.


Material: TlCNO
Method: DFT, PBE
State: relaxed Values from VASP.

```
&SYSTEM
  ibrav = 0, nat = 8, ntyp = 4
/
ATOMIC_SPECIES
Tl 204.38 Tl.upf
C 12.01 C.upf
N 14.01 N.upf
O 16.00 O.upf
CELL_PARAMETERS angstrom
1.7792 -4.2430 3.5522
-4.2061 2.4202 3.1997
-1.7771 -1.8812 -5.2048
ATOMIC_POSITIONS crystal
Tl 0.2439 0.0000 0.2439
Tl 0.7439 0.5000 0.2439
C 0.0023 0.2475 0.7498
C 0.5023 0.7525 0.7548
N 0.1378 0.1147 0.7525
N 0.6378 0.8853 0.0231
O 0.8660 0.3852 0.7512
O 0.3660 0.6148 0.4808
```

Results
The value obtained for the magnetization is 0.00 μB per cell. The value obtained for the raw total energy is -6.696 eV per atom. For the formation energy, the calculation gives -0.649 eV per atom. For the density, the calculation gives 5.50 g/cm³.